DFT (PBE+U) results for crystalline Mg3Mn2Si3O12 at its relaxed geometry.

Summary:
Calculated density = 3.70 g/cm3
Spin magnetization = 8.00 μB/f.u.
Distance to the lowest polymorph of the same formula = 0.000 eV per atom
Crystal system = tetragonal

abc: 10.235 10.235 10.235
angles: 111.07 111.07 106.32
Element x y z (fractional)
Mg (0.125, 0.375, 0.750)
Mg (0.128, 0.250, 0.378)
Mg (0.250, 0.372, 0.122)
Mg (0.250, 0.872, 0.622)
Mg (0.372, 0.750, 0.122)
Mg (0.375, 0.125, 0.250)
Mg (0.625, 0.875, 0.750)
Mg (0.628, 0.250, 0.878)
Mg (0.750, 0.128, 0.378)
Mg (0.750, 0.628, 0.878)
Mg (0.872, 0.750, 0.622)
Mg (0.875, 0.625, 0.250)
Mn (0.000, 0.000, 0.000)
Mn (0.000, 0.000, 0.500)
Mn (0.000, 0.500, 0.000)
Mn (0.000, 0.500, 0.500)
Mn (0.500, 0.000, 0.000)
Mn (0.500, 0.000, 0.500)
Mn (0.500, 0.500, 0.000)
Mn (0.500, 0.500, 0.500)
Si (0.125, 0.875, 0.250)
Si (0.127, 0.750, 0.877)
Si (0.250, 0.127, 0.877)
Si (0.250, 0.627, 0.377)
Si (0.373, 0.250, 0.623)
Si (0.375, 0.625, 0.750)
Si (0.625, 0.375, 0.250)
Si (0.627, 0.750, 0.377)
Si (0.750, 0.373, 0.623)
Si (0.750, 0.873, 0.123)
Si (0.873, 0.250, 0.123)
Si (0.875, 0.125, 0.750)
O (0.014, 0.307, 0.899)
O (0.020, 0.209, 0.126)
O (0.083, 0.709, 0.689)
O (0.091, 0.884, 0.399)
O (0.104, 0.632, 0.408)
O (0.106, 0.980, 0.689)
O (0.116, 0.014, 0.207)
O (0.132, 0.604, 0.908)
O (0.193, 0.486, 0.601)
O (0.196, 0.224, 0.592)
O (0.209, 0.583, 0.189)
O (0.224, 0.132, 0.028)
O (0.276, 0.304, 0.908)
O (0.291, 0.480, 0.374)
O (0.304, 0.896, 0.028)
O (0.307, 0.909, 0.293)
O (0.368, 0.276, 0.472)
O (0.384, 0.591, 0.899)
O (0.394, 0.083, 0.874)
O (0.396, 0.804, 0.528)
O (0.409, 0.807, 0.793)
O (0.417, 0.106, 0.626)
O (0.480, 0.606, 0.189)
O (0.486, 0.384, 0.293)
O (0.514, 0.616, 0.707)
O (0.520, 0.394, 0.811)
O (0.583, 0.894, 0.374)
O (0.591, 0.193, 0.207)
O (0.604, 0.196, 0.472)
O (0.606, 0.917, 0.126)
O (0.616, 0.409, 0.101)
O (0.632, 0.724, 0.528)
O (0.693, 0.091, 0.707)
O (0.696, 0.104, 0.972)
O (0.709, 0.520, 0.626)
O (0.724, 0.696, 0.092)
O (0.776, 0.868, 0.972)
O (0.791, 0.417, 0.811)
O (0.804, 0.776, 0.408)
O (0.807, 0.514, 0.399)
O (0.868, 0.396, 0.092)
O (0.884, 0.986, 0.793)
O (0.894, 0.020, 0.311)
O (0.896, 0.368, 0.592)
O (0.909, 0.116, 0.601)
O (0.917, 0.291, 0.311)
O (0.980, 0.791, 0.874)
O (0.986, 0.693, 0.101)



DFT (PBE+U) results for crystalline MnOF at its relaxed geometry.

Summary:
Calculated density = 4.27 g/cm3
Final energy = -6.735 eV per atom
Spin magnetization = 4.00 μB/f.u.
Crystal system = monoclinic

abc: 4.788 3.104 14.134
angles: 90.00 92.25 90.00
Element x y z (fractional)
Mn (0.000, 0.000, 0.000)
Mn (0.047, 0.000, 0.332)
Mn (0.410, 0.500, 0.832)
Mn (0.500, 0.500, 0.500)
Mn (0.590, 0.500, 0.168)
Mn (0.953, 0.000, 0.668)
O (0.167, 0.500, 0.935)
O (0.237, 0.000, 0.768)
O (0.324, 0.000, 0.434)
O (0.676, 0.000, 0.566)
O (0.763, 0.000, 0.232)
O (0.833, 0.500, 0.065)
F (0.157, 0.500, 0.606)
F (0.260, 0.500, 0.264)
F (0.358, 0.000, 0.106)
F (0.642, 0.000, 0.894)
F (0.740, 0.500, 0.736)
F (0.843, 0.500, 0.394)



DFT (PBE+U) results for crystalline Li3Mn2Se4O12 at its relaxed geometry.

Summary:
Calculated density = 3.64 g/cm3
Final energy = -5.825 eV per atom
Spin magnetization = 9.00 μB/f.u.
Crystal system = triclinic

abc: 7.603 8.370 10.561
angles: 73.87 88.75 65.29
Element x y z (fractional)
Li (0.056, 0.120, 0.330)
Li (0.245, 0.046, 0.078)
Li (0.349, 0.043, 0.582)
Li (0.651, 0.957, 0.418)
Li (0.755, 0.954, 0.922)
Li (0.944, 0.880, 0.670)
Mn (0.000, 0.500, 0.000)
Mn (0.000, 0.500, 0.500)
Mn (0.060, 0.788, 0.221)
Mn (0.940, 0.212, 0.779)
Se (0.264, 0.748, 0.931)
Se (0.285, 0.709, 0.521)
Se (0.312, 0.324, 0.267)
Se (0.325, 0.245, 0.796)
Se (0.675, 0.755, 0.204)
Se (0.688, 0.676, 0.733)
Se (0.715, 0.291, 0.479)
Se (0.736, 0.252, 0.069)
O (0.038, 0.912, 0.853)
O (0.087, 0.651, 0.566)
O (0.123, 0.321, 0.177)
O (0.141, 0.253, 0.904)
O (0.191, 0.495, 0.346)
O (0.192, 0.247, 0.657)
O (0.215, 0.841, 0.358)
O (0.223, 0.870, 0.602)
O (0.234, 0.543, 0.977)
O (0.270, 0.790, 0.081)
O (0.360, 0.128, 0.391)
O (0.482, 0.021, 0.847)
O (0.518, 0.979, 0.153)
O (0.640, 0.872, 0.609)
O (0.730, 0.210, 0.919)
O (0.766, 0.457, 0.023)
O (0.777, 0.130, 0.398)
O (0.785, 0.159, 0.642)
O (0.808, 0.753, 0.343)
O (0.809, 0.505, 0.654)
O (0.859, 0.747, 0.096)
O (0.877, 0.679, 0.823)
O (0.913, 0.349, 0.434)
O (0.962, 0.088, 0.147)



DFT (PBE+U) results for crystalline Ca3Al4CoO10 at its relaxed geometry.

Summary:
Calculated density = 2.93 g/cm3
Spin magnetization = 3.00 μB/f.u.
Distance to the lowest polymorph of the same formula = 0.168 eV per atom
Crystal system = triclinic

abc: 5.250 11.597 16.663
angles: 89.99 89.98 89.98
Element x y z (fractional)
Ca (0.000, 0.000, 0.000)
Ca (0.000, 0.498, 0.324)
Ca (0.513, 0.499, 0.823)
Ca (0.514, 0.998, 0.500)
Ca (0.542, 0.767, 0.699)
Ca (0.546, 0.267, 0.625)
Ca (0.633, 0.099, 0.839)
Ca (0.636, 0.599, 0.485)
Ca (0.877, 0.099, 0.339)
Ca (0.878, 0.601, 0.983)
Ca (0.965, 0.769, 0.199)
Ca (0.971, 0.268, 0.124)
Al (0.115, 0.940, 0.833)
Al (0.116, 0.440, 0.491)
Al (0.125, 0.267, 0.735)
Al (0.125, 0.767, 0.587)
Al (0.218, 0.538, 0.654)
Al (0.221, 0.038, 0.669)
Al (0.288, 0.539, 0.154)
Al (0.294, 0.038, 0.170)
Al (0.385, 0.768, 0.088)
Al (0.388, 0.268, 0.236)
Al (0.393, 0.440, 0.989)
Al (0.396, 0.941, 0.333)
Al (0.592, 0.800, 0.894)
Al (0.596, 0.298, 0.430)
Al (0.916, 0.299, 0.928)
Al (0.917, 0.798, 0.393)
Co (0.045, 0.702, 0.786)
Co (0.050, 0.200, 0.537)
Co (0.462, 0.701, 0.286)
Co (0.467, 0.203, 0.037)
O (0.138, 0.656, 0.089)
O (0.143, 0.154, 0.234)
O (0.182, 0.820, 0.325)
O (0.183, 0.318, 0.997)
O (0.193, 0.612, 0.241)
O (0.201, 0.896, 0.119)
O (0.202, 0.112, 0.082)
O (0.202, 0.396, 0.206)
O (0.230, 0.529, 0.922)
O (0.234, 0.030, 0.400)
O (0.279, 0.028, 0.900)
O (0.279, 0.530, 0.424)
O (0.308, 0.395, 0.704)
O (0.310, 0.895, 0.618)
O (0.311, 0.611, 0.741)
O (0.319, 0.111, 0.582)
O (0.326, 0.818, 0.826)
O (0.330, 0.319, 0.498)
O (0.370, 0.653, 0.589)
O (0.371, 0.154, 0.734)
O (0.508, 0.490, 0.082)
O (0.519, 0.991, 0.241)
O (0.559, 0.775, 0.998)
O (0.561, 0.273, 0.326)
O (0.572, 0.729, 0.172)
O (0.577, 0.231, 0.152)
O (0.690, 0.413, 0.939)
O (0.691, 0.911, 0.384)
O (0.752, 0.675, 0.855)
O (0.755, 0.172, 0.468)
O (0.757, 0.672, 0.355)
O (0.758, 0.173, 0.968)
O (0.818, 0.914, 0.884)
O (0.822, 0.411, 0.440)
O (0.936, 0.729, 0.671)
O (0.939, 0.228, 0.651)
O (0.948, 0.274, 0.825)
O (0.952, 0.773, 0.497)
O (0.992, 0.491, 0.582)
O (0.998, 0.990, 0.740)



DFT (PBE+U) results for crystalline LiZn2Fe9O16 at its relaxed geometry.

Summary:
Calculated density = 4.77 g/cm3
Final energy = -6.273 eV per atom
Spin magnetization = 45.00 μB/f.u.
Crystal system = monoclinic

abc: 6.052 6.052 10.475
angles: 107.09 107.09 59.90
Element x y z (fractional)
Li (0.000, 0.000, 0.000)
Zn (0.187, 0.187, 0.562)
Zn (0.940, 0.940, 0.310)
Fe (0.372, 0.372, 0.125)
Fe (0.432, 0.942, 0.311)
Fe (0.440, 0.440, 0.814)
Fe (0.441, 0.934, 0.815)
Fe (0.504, 0.504, 0.495)
Fe (0.685, 0.685, 0.055)
Fe (0.876, 0.876, 0.628)
Fe (0.934, 0.441, 0.815)
Fe (0.942, 0.432, 0.311)
O (0.043, 0.564, 0.186)
O (0.073, 0.073, 0.695)
O (0.075, 0.552, 0.697)
O (0.076, 0.076, 0.207)
O (0.307, 0.307, 0.430)
O (0.308, 0.308, 0.927)
O (0.317, 0.825, 0.433)
O (0.341, 0.793, 0.927)
O (0.552, 0.075, 0.697)
O (0.564, 0.043, 0.186)
O (0.568, 0.568, 0.694)
O (0.572, 0.572, 0.189)
O (0.793, 0.341, 0.927)
O (0.794, 0.794, 0.931)
O (0.808, 0.808, 0.430)
O (0.825, 0.317, 0.433)



DFT (PBE+U) results for crystalline Li4Cr3FeO8 at its relaxed geometry.

Summary:
Calculated density = 4.13 g/cm3
Spin magnetization = 2.00 μB/f.u.
Distance to the lowest polymorph of the same formula = 0.001 eV per atom
Crystal system = monoclinic

abc: 5.908 5.908 5.165
angles: 106.69 106.69 60.30
Element x y z (fractional)
Li (0.249, 0.751, 0.000)
Li (0.250, 0.250, 0.999)
Li (0.750, 0.750, 0.001)
Li (0.751, 0.249, 0.000)
Cr (0.000, 0.000, 0.500)
Cr (0.000, 0.500, 0.500)
Cr (0.500, 0.000, 0.500)
Fe (0.500, 0.500, 0.500)
O (0.127, 0.630, 0.272)
O (0.129, 0.129, 0.274)
O (0.370, 0.370, 0.727)
O (0.370, 0.873, 0.728)
O (0.630, 0.127, 0.272)
O (0.630, 0.630, 0.273)
O (0.871, 0.871, 0.726)
O (0.873, 0.370, 0.728)